Record 1
Density functional theory data (PBE) for crystalline K4P21I at its relaxed geometry.

The space group is Cmcm (No. 63) and the conventional cell measures 21.957, 13.388 and 9.883 Å, with angles of 90.00, 90.00 and 90.00 degrees. Symmetry generates all atoms from K at (0.089, 0.157, 0.250), K at (0.121, 0.500, 0.000), P at (0.000, 0.040, 0.750), P at (0.000, 0.146, 0.586), P at (0.074, 0.255, 0.635), P at (0.151, 0.159, 0.576), P at (0.175, 0.057, 0.750), P at (0.219, 0.275, 0.250), P at (0.221, 0.280, 0.584), P at (0.227, 0.436, 0.250) and I at (0.000, 0.399, 0.250).

The value obtained for the corrected total energy (MP2020 scheme) is -511.512 eV per cell. The total energy is -510.00 eV for the cell shown. As for the calculated formation energy: -0.317 eV/atom.


Record 2
Density functional theory data (PBE) for crystalline K2PrI5 at its relaxed geometry.

The space group is Pnma (No. 62) and the conventional cell measures 14.658, 9.948 and 9.340 Å, with angles of 90.00, 90.00 and 90.00 degrees. Symmetry generates all atoms from K at (0.172, 0.005, 0.065), Pr at (0.006, 0.250, 0.580), I at (0.006, 0.250, 0.930), I at (0.074, 0.546, 0.670), I at (0.184, 0.250, 0.379) and I at (0.207, 0.750, 0.343).

The value obtained for the corrected total energy (MP2020 scheme) is -113.353 eV per cell. The total energy is -105.77 eV for the cell shown. As for the calculated formation energy: -1.715 eV/atom.